# RbHS, optimized geometry, DFT GGA-PBE
# ΔE_f   -2.10 eV per formula unit
data_RbHS
_chemical_formula_sum 'Rb1 H1 S1'
_cell_length_a 4.400
_cell_length_b 4.400
_cell_length_c 3.322
_cell_angle_alpha 89.96
_cell_angle_beta 89.96
_cell_angle_gamma 90.86
_symmetry_space_group_name_H-M 'P 1'
_symmetry_Int_Tables_number 1
_symmetry_space_group_name_Hall 'P 1'
loop_
_atom_site_label
_atom_site_type_symbol
_atom_site_fract_x
_atom_site_fract_y
_atom_site_fract_z
Rb1 Rb 0.629 0.371 0.000
H1 H 0.098 0.902 0.000
S1 S 0.142 0.858 0.500